CoOF: relaxed, GGA+U.

Results
* formation energy: -1.4512 eV per atom
* crystal system: monoclinic
* energy above the lowest structure with this stoichiometry: 161.3 meV per atom
* theoretical density: 4.92 g cm⁻³

a b c (Å): 4.727 2.906 18.487
angles (deg): 90.00 91.59 90.00
Space group P2/m (No. 10)
Unique sites:
1 Co 0.000 0.000 0.000
2 Co 0.000 0.000 0.500
3 Co 0.130 0.000 0.250
4 Co 0.429 0.500 0.873
5 Co 0.443 0.500 0.627
6 O 0.157 0.500 0.952
7 O 0.270 0.000 0.578
8 O 0.290 0.500 0.204
9 O 0.399 0.000 0.323
10 F 0.070 0.500 0.703
11 F 0.193 0.000 0.821
12 F 0.216 0.500 0.450
13 F 0.350 0.000 0.076